Entry from the Materials Project: a relaxed KBaPrWO6 crystal (PBE with a Hubbard U).

Values from the calculation:
MP2020-corrected energy in eV per atom: -7.92
Calculated total energy in eV/atom: -7.0673
Energy of formation from the pure elements in eV per atom: -2.878
Size of the total moment in μB/f.u.: 0.000

Cell: 6.125 6.125 6.125 Å, 60.00 60.00 60.00°
Atoms (fractional coordinates):
K 0.000 0.000 0.000
Ba 0.500 0.500 0.500
Pr 0.250 0.250 0.250
W 0.750 0.750 0.750
O 0.523 0.523 0.977
O 0.523 0.977 0.523
O 0.523 0.977 0.977
O 0.977 0.523 0.523
O 0.977 0.523 0.977
O 0.977 0.977 0.523